[1]
## PrCo2 (GGA-PBE)

Data for a relaxed PrCo2 crystal.

- ρ: 8.721 g/cm³
- Energy of formation: 0.03 eV/f.u.
- Total DFT energy (no corrections): -6.3239 eV per atom

Cell: 5.185 5.185 5.185 Å, 60.00 60.00 60.00°
Atoms (fractional coordinates):
Co1 0.875 0.375 0.375
Pr1 0.000 0.000 0.000
Pr2 0.750 0.750 0.750
Co2 0.375 0.875 0.375
Co3 0.375 0.375 0.375
Co4 0.375 0.375 0.875


[2]
## Li2NiN (GGA-PBE)

Data for a relaxed Li2NiN crystal.

- ρ: 3.247 g/cm³
- Energy of formation: -1.75 eV/f.u.
- Total DFT energy (no corrections): -4.8319 eV per atom

Cell: 3.487 3.829 3.829 Å, 120.00 90.00 90.00°
Atoms (fractional coordinates):
Li1 0.000 0.333 0.667
Ni1 0.500 0.000 0.000
Li2 0.000 0.667 0.333
N1 0.000 0.000 0.000


[3]
## Ca4Al11Si13Ag3O48 (GGA-PBE)

Data for a relaxed Ca4Al11Si13Ag3O48 crystal.

- ρ: 1.657 g/cm³
- Energy of formation: -245.67 eV/f.u.
- Total DFT energy (no corrections): -7.3221 eV per atom

Cell: 12.207 12.227 12.850 Å, 89.45 89.69 89.67°
Atoms (fractional coordinates):
O1 0.891 0.122 0.337
Ca1 0.185 0.192 0.775
O2 0.014 0.291 0.283
O3 0.000 0.240 0.481
Si1 0.365 0.999 0.180
Si2 0.367 0.812 0.009
O4 0.112 0.351 0.108
Al1 0.810 0.008 0.615
Ca2 0.809 0.187 0.788
Ag1 0.807 0.806 0.210
O5 0.492 0.211 0.991
Si3 0.187 0.368 0.005
Al2 0.361 0.999 0.833
O6 0.881 0.314 0.892
Ca3 0.184 0.817 0.780
O7 0.316 0.123 0.898
O8 0.883 0.128 0.646
O9 0.128 0.875 0.629
O10 0.300 0.298 0.019
O11 0.321 0.876 0.906
Al3 0.003 0.196 0.610
Si4 0.621 0.001 0.182
O12 0.127 0.324 0.900
Ca4 0.821 0.823 0.784
O13 0.672 0.122 0.901
O14 0.119 0.889 0.348
O15 0.997 0.743 0.494
Si5 0.815 0.633 0.008
O16 0.269 0.995 0.730
Al4 0.196 0.998 0.608
Si6 0.623 0.187 0.003
O17 0.342 0.102 0.102
O18 0.675 0.876 0.906
O19 0.879 0.688 0.908
O20 0.121 0.117 0.633
Al5 0.001 0.365 0.830
O21 0.997 0.495 0.216
O22 0.003 0.738 0.739
O23 0.691 0.296 0.021
Al6 0.999 0.805 0.374
O24 0.302 0.697 0.023
Al7 0.003 0.806 0.612
O25 0.701 0.010 0.278
O26 0.247 0.003 0.481
Si7 0.002 0.622 0.180
O27 0.499 0.786 0.004
O28 0.890 0.890 0.641
O29 0.642 0.106 0.105
O30 0.129 0.677 0.901
O31 0.492 0.996 0.216
O32 0.286 0.003 0.279
O33 0.222 0.498 0.994
Al8 0.814 0.367 0.004
O34 0.788 0.506 0.997
O35 0.650 0.889 0.114
O36 0.013 0.705 0.274
O37 0.112 0.645 0.106
Al9 0.001 0.640 0.838
O38 0.894 0.336 0.116
O39 0.497 0.997 0.814
Ag2 0.797 0.196 0.200
Ag3 0.191 0.796 0.211
O40 0.891 0.656 0.113
O41 0.701 0.703 0.029
O42 0.753 0.012 0.495
Al10 0.808 0.005 0.372
O43 0.340 0.884 0.115
O44 0.021 0.282 0.721
Si8 0.629 0.814 0.010
O45 0.885 0.886 0.341
Si9 0.190 0.626 0.004
O46 0.734 0.000 0.738
Si10 0.003 0.189 0.367
O47 0.111 0.110 0.348
Si11 0.188 0.002 0.369
O48 0.998 0.504 0.820
Si12 0.003 0.367 0.181
Si13 0.363 0.183 0.003
Al11 0.634 0.999 0.835


[4]
## V (GGA-PBE)

Data for a relaxed V crystal.

- ρ: 6.313 g/cm³
- Energy of formation: 0.00 eV/f.u.
- Total DFT energy (no corrections): -9.0839 eV per atom

Cell: 2.592 2.592 2.592 Å, 109.47 109.47 109.47°
Atoms (fractional coordinates):
V1 0.000 0.000 0.000


[5]
## Li20Nb19O60 (GGA-PBE)

Data for a relaxed Li20Nb19O60 crystal.

- ρ: 4.234 g/cm³
- Energy of formation: -273.51 eV/f.u.
- Total DFT energy (no corrections): -7.6694 eV per atom

Cell: 5.601 11.229 56.181 Å, 55.60 55.72 55.63°
Atoms (fractional coordinates):
O1 0.111 0.179 0.672
O2 0.723 0.055 0.836
O3 0.213 0.934 0.261
Nb1 0.499 0.751 0.750
O4 0.105 0.680 0.273
O5 0.859 0.804 0.422
O6 0.550 0.107 0.987
Nb2 0.500 0.250 0.450
O7 0.720 0.055 0.436
Nb3 0.502 0.254 0.050
O8 0.108 0.680 0.072
O9 0.609 0.609 0.186
O10 0.226 0.933 0.157
Li1 0.781 0.390 0.678
O11 0.720 0.552 0.136
Nb4 0.498 0.754 0.150
O12 0.361 0.360 0.811
O13 0.360 0.860 0.811
O14 0.662 0.059 0.242
Li2 0.784 0.390 0.878
O15 0.722 0.555 0.836
O16 0.610 0.110 0.686
Li3 0.306 0.135 0.227
O17 0.610 0.610 0.986
O18 0.552 0.107 0.187
Nb5 0.500 0.751 0.450
O19 0.607 0.604 0.087
Nb6 0.500 0.250 0.550
Nb7 0.999 0.500 0.400
O20 0.610 0.610 0.486
O21 0.858 0.805 0.722
Li4 0.781 0.891 0.378
O22 0.358 0.860 0.411
Nb8 0.502 0.251 0.950
Nb9 0.499 0.751 0.650
O23 0.224 0.436 0.960
O24 0.126 0.175 0.071
Nb10 0.506 0.253 0.250
O25 0.111 0.679 0.672
O26 0.721 0.555 0.636
Li5 0.781 0.891 0.578
Li6 0.280 0.141 0.828
O27 0.862 0.786 0.223
Nb11 0.001 0.504 0.999
Nb12 0.999 0.500 0.700
O28 0.360 0.358 0.311
Nb13 0.001 0.500 0.300
Nb14 0.999 0.000 0.800
Nb15 0.499 0.251 0.750
O29 0.860 0.786 0.023
O30 0.221 0.429 0.661
O31 0.110 0.679 0.472
O32 0.418 0.840 0.011
O33 0.729 0.057 0.935
O34 0.362 0.360 0.911
O35 0.870 0.805 0.121
Li7 0.788 0.885 0.078
Nb16 0.000 0.500 0.800
O36 0.610 0.110 0.486
O37 0.721 0.555 0.536
Li8 0.279 0.641 0.828
Nb17 0.501 0.250 0.150
O38 0.709 0.559 0.035
O39 0.610 0.110 0.586
O40 0.858 0.806 0.822
Li9 0.280 0.641 0.728
Nb18 0.999 0.000 0.600
Li10 0.282 0.641 0.428
O41 0.116 0.200 0.969
O42 0.720 0.555 0.436
O43 0.859 0.305 0.722
O44 0.730 0.057 0.135
O45 0.359 0.860 0.511
O46 0.610 0.109 0.386
O47 0.113 0.681 0.172
Nb19 0.999 0.000 0.500
Li11 0.783 0.889 0.878
O48 0.110 0.179 0.572
O49 0.360 0.859 0.311
O50 0.221 0.929 0.561
Nb20 0.496 0.750 0.252
Nb21 0.998 0.999 0.300
O51 0.220 0.930 0.761
O52 0.613 0.110 0.886
Li12 0.769 0.392 0.179
O53 0.721 0.055 0.736
O54 0.359 0.860 0.611
O55 0.216 0.935 0.060
Li13 0.781 0.391 0.378
Li14 0.282 0.141 0.528
Li15 0.282 0.140 0.428
O56 0.865 0.303 0.022
O57 0.220 0.929 0.461
Li16 0.302 0.136 0.027
O58 0.859 0.305 0.622
O59 0.865 0.302 0.222
Li17 0.282 0.642 0.928
O60 0.109 0.179 0.372
O61 0.221 0.430 0.860
Nb22 0.499 0.251 0.350
Nb23 0.999 0.000 0.700
Nb24 0.999 0.500 0.500
O62 0.114 0.679 0.872
O63 0.610 0.610 0.586
O64 0.110 0.679 0.572
O65 0.859 0.805 0.522
O66 0.721 0.055 0.636
O67 0.113 0.204 0.168
O68 0.225 0.933 0.957
O69 0.110 0.179 0.472
O70 0.419 0.833 0.212
O71 0.222 0.928 0.361
O72 0.859 0.305 0.522
Li18 0.271 0.648 0.027
O73 0.210 0.434 0.061
O74 0.721 0.555 0.736
Li19 0.281 0.641 0.628
O75 0.869 0.805 0.921
Nb25 0.997 0.499 0.900
Nb26 0.001 0.995 0.101
O76 0.610 0.610 0.686
Nb27 0.498 0.250 0.850
O77 0.722 0.552 0.936
Li20 0.782 0.890 0.778
O78 0.109 0.679 0.372
Nb28 0.499 0.755 0.950
Nb29 0.487 0.748 0.052
O79 0.861 0.805 0.322
Nb30 0.999 0.500 0.600
Li21 0.281 0.141 0.628
O80 0.859 0.805 0.622
Nb31 0.499 0.251 0.650
O81 0.367 0.857 0.110
O82 0.358 0.360 0.411
O83 0.359 0.860 0.711
O84 0.115 0.179 0.871
Nb32 0.498 0.750 0.850
O85 0.611 0.610 0.886
Li22 0.781 0.891 0.478
Li23 0.283 0.639 0.328
Li24 0.782 0.390 0.778
O86 0.873 0.304 0.121
Li25 0.781 0.391 0.578
O87 0.366 0.857 0.910
O88 0.873 0.305 0.921
Li26 0.273 0.135 0.130
Li27 0.282 0.641 0.528
Nb33 0.002 0.504 0.199
O89 0.359 0.360 0.711
O90 0.361 0.358 0.111
Li28 0.781 0.391 0.478
Nb34 0.500 0.750 0.550
O91 0.207 0.432 0.262
Li29 0.283 0.640 0.128
O92 0.667 0.058 0.041
O93 0.220 0.429 0.361
O94 0.610 0.610 0.786
O95 0.350 0.366 0.212
Li30 0.781 0.890 0.678
O96 0.723 0.054 0.336
O97 0.114 0.680 0.972
Nb35 0.999 0.000 0.400
O98 0.858 0.306 0.822
Li31 0.781 0.393 0.278
O99 0.720 0.555 0.336
O100 0.111 0.179 0.772
O101 0.610 0.110 0.786
Nb36 0.501 0.749 0.350
O102 0.120 0.176 0.272
Li32 0.274 0.134 0.930
O103 0.222 0.436 0.161
Li33 0.281 0.141 0.728
O104 0.707 0.559 0.236
Li34 0.788 0.886 0.278
O105 0.221 0.929 0.661
O106 0.221 0.429 0.561
O107 0.221 0.429 0.461
Nb37 0.001 0.999 0.900
O108 0.607 0.603 0.288
O109 0.860 0.302 0.323
O110 0.220 0.430 0.761
Li35 0.272 0.649 0.227
O111 0.607 0.115 0.287
O112 0.610 0.115 0.086
Li36 0.769 0.392 0.979
Li37 0.280 0.141 0.328
O113 0.359 0.360 0.511
O114 0.721 0.055 0.536
O115 0.111 0.679 0.772
O116 0.610 0.610 0.386
Li38 0.797 0.903 0.179
Nb38 0.996 0.497 0.101
O117 0.859 0.305 0.422
Li39 0.800 0.904 0.978
Li40 0.782 0.392 0.078
O118 0.353 0.364 0.011
O119 0.359 0.360 0.611
O120 0.222 0.930 0.860


[6]
## Pr4MgRh (GGA-PBE)

Data for a relaxed Pr4MgRh crystal.

- ρ: 6.318 g/cm³
- Energy of formation: -1.96 eV/f.u.
- Total DFT energy (no corrections): -5.0085 eV per atom

Cell: 10.089 10.089 10.089 Å, 60.00 60.00 60.00°
Atoms (fractional coordinates):
Pr1 0.347 0.347 0.347
Pr2 0.188 0.812 0.188
Pr3 0.959 0.347 0.347
Pr4 0.937 0.937 0.563
Pr5 0.812 0.812 0.188
Mg1 0.580 0.580 0.580
Pr6 0.812 0.188 0.188
Mg2 0.580 0.580 0.261
Rh1 0.142 0.574 0.142
Rh2 0.574 0.142 0.142
Pr7 0.937 0.563 0.563
Rh3 0.142 0.142 0.142
Pr8 0.188 0.188 0.812
Pr9 0.563 0.937 0.937
Mg3 0.261 0.580 0.580
Mg4 0.580 0.261 0.580
Pr10 0.188 0.812 0.812
Pr11 0.563 0.937 0.563
Pr12 0.347 0.347 0.959
Pr13 0.937 0.563 0.937
Rh4 0.142 0.142 0.574
Pr14 0.812 0.188 0.812
Pr15 0.563 0.563 0.937
Pr16 0.347 0.959 0.347


[7]
## Zn2InCuSe4 (GGA-PBE)

Data for a relaxed Zn2InCuSe4 crystal.

- ρ: 5.314 g/cm³
- Energy of formation: -6.43 eV/f.u.
- Total DFT energy (no corrections): -3.4870 eV per atom

Cell: 7.104 7.104 7.104 Å, 131.77 131.77 70.59°
Atoms (fractional coordinates):
Se1 0.364 0.364 0.472
Cu1 0.000 0.000 0.000
In1 0.500 0.500 0.000
Se2 0.636 0.108 0.000
Zn1 0.250 0.750 0.500
Se3 0.108 0.636 0.000
Se4 0.892 0.892 0.528
Zn2 0.750 0.250 0.500


[8]
## Li4CuP2O8 (GGA-PBE)

Data for a relaxed Li4CuP2O8 crystal.

- ρ: 2.785 g/cm³
- Energy of formation: -36.99 eV/f.u.
- Total DFT energy (no corrections): -6.2429 eV per atom

Cell: 5.002 6.345 10.569 Å, 88.74 90.00 90.00°
Atoms (fractional coordinates):
O1 0.946 0.439 0.166
O2 0.960 0.041 0.164
Li1 0.542 0.261 0.924
O3 0.944 0.250 0.954
Li2 0.566 0.505 0.161
P1 0.951 0.250 0.593
O4 0.877 0.751 0.395
O5 0.054 0.439 0.666
Cu1 0.423 0.977 0.660
O6 0.523 0.751 0.046
P2 0.049 0.250 0.093
Li3 0.061 0.997 0.345
O7 0.477 0.751 0.546
O8 0.453 0.555 0.340
Li4 0.434 0.505 0.661
Li5 0.939 0.997 0.845
O9 0.547 0.555 0.840
O10 0.364 0.248 0.092
O11 0.056 0.250 0.454
O12 0.636 0.248 0.592
O13 0.537 0.964 0.842
Cu2 0.577 0.977 0.160
O14 0.123 0.751 0.895
Li6 0.059 0.510 0.337
P3 0.427 0.751 0.906
Li7 0.941 0.510 0.837
P4 0.573 0.751 0.406
Li8 0.458 0.261 0.424
O15 0.463 0.964 0.342
O16 0.040 0.041 0.664


[9]
## SiC2N6F6 (GGA-PBE)

Data for a relaxed SiC2N6F6 crystal.

- ρ: 1.942 g/cm³
- Energy of formation: -0.60 eV/f.u.
- Total DFT energy (no corrections): -5.5477 eV per atom

Cell: 6.079 6.819 6.590 Å, 121.16 110.22 90.00°
Atoms (fractional coordinates):
N1 0.469 0.770 0.540
C1 0.456 0.648 0.297
N2 0.990 0.987 0.319
F1 0.895 0.535 0.071
N3 0.448 0.760 0.176
Si1 0.719 0.373 0.745
F2 0.546 0.210 0.419
N4 0.989 0.981 0.962
F3 0.537 0.215 0.787
C2 0.988 0.100 0.200
N5 0.990 0.331 0.319
F4 0.900 0.173 0.703
N6 0.448 0.416 0.176
F5 0.537 0.571 0.787
F6 0.900 0.531 0.703


[10]
## GaP (GGA-PBE)

Data for a relaxed GaP crystal.

- ρ: 4.006 g/cm³
- Energy of formation: -0.82 eV/f.u.
- Total DFT energy (no corrections): -4.6305 eV per atom
- Piezoelectric modulus e_max: 0.200 C/m2

Cell: 3.894 3.894 3.894 Å, 60.00 60.00 60.00°
Atoms (fractional coordinates):
Ga1 0.000 0.000 0.000
P1 0.250 0.250 0.250